# Mg14AlCO16

A geometry-optimized Mg14AlCO16 structure (PBE, Materials Project).

```
32
Lattice="-2.4238 -7.7317 -2.2982 5.8994 -3.4715 5.4571 -2.8531 -0.0188 3.0723" Properties=species:S:1:pos:R:3 pbc="T T T"
Mg 2.9497 -1.7357 2.7285
Mg -1.2119 -3.8658 -1.1491
Mg 0.0512 -0.8790 2.9031
Mg 2.9951 -2.6113 5.6263
Mg -1.1473 -4.7527 1.7664
Mg 1.7699 -6.4693 4.4649
Mg -2.0388 -1.9626 0.9556
Mg 0.9016 -3.7280 3.6753
Mg -3.2380 -5.7879 -0.1815
Mg -0.2790 -7.4939 2.5559
Mg 0.8767 -2.8840 0.7965
Mg 3.7691 -4.5861 3.4720
Mg -0.2935 -6.6171 -0.3131
Mg 2.5989 -8.3191 2.3624
Al 0.0000 0.0000 0.0000
C 1.7378 -5.6016 1.5795
O -0.5471 -1.7451 -0.5187
O 2.3684 -3.5899 2.1774
O -1.8767 -5.9865 -1.7794
O 1.1072 -7.6132 0.9815
O -0.5516 -2.8065 2.3315
O 2.3899 -4.5374 5.0525
O -1.7674 -6.6845 1.1787
O 1.1742 -8.4155 3.8998
O -1.4265 -0.0094 1.5362
O 1.5232 -1.7451 4.2647
O -2.6384 -3.8752 0.3871
O 0.3113 -5.6110 3.1156
O 1.3537 -0.7966 1.2522
O 4.5457 -2.6749 4.2049
O 0.0828 -4.6277 0.0486
O 3.3928 -6.5754 3.1104
```

For the calculated formation energy, the calculation gives -2714.5 meV per atom. The calculation puts the total energy at -190.42 eV/cell. As for the theoretical density: 3.412 Mg/m³. As for the spin magnetization: 1.00 Bohr magnetons per cell.